A relaxed MgCr2O4 crystal, computed with PBE+U.

```
MgCr2O4
1.0
2.207 1.911 -0.668
-0.265 -1.064 2.787
6.217 -8.017 -2.406
Mg Cr O
1 2 4
direct
0.006 0.992 0.752
0.999 0.998 0.491
0.999 0.999 0.012
0.667 0.334 0.409
0.665 0.330 0.094
0.334 0.660 0.625
0.337 0.665 0.879
```

Calculated values
space-group type: P1
spin magnetization: 6.0 μB/f.u.
uncorrected energy: -49.73 eV/cell
ΔH_f (0 K): -2.25 eV/atom